# PBE-GGA InSi4H38C14Cl, optimized geometry
data_InSi4H38C14Cl
_chemical_formula_sum 'In2 Si8 H76 C28 Cl2'
_cell_length_a 9.683
_cell_length_b 12.276
_cell_length_c 12.602
_cell_angle_alpha 77.11
_cell_angle_beta 69.43
_cell_angle_gamma 67.12
_space_group_name_H-M_alt 'P 1'
_space_group_IT_number 1
loop_
_space_group_symop_operation_xyz
'x,y,z'
loop_
_atom_site_label
_atom_site_fract_x
_atom_site_fract_y
_atom_site_fract_z
_atom_site_occupancy
In1 0.017 0.493 0.342 1
In2 0.983 0.507 0.658 1
Si1 0.253 0.204 0.284 1
Si2 0.747 0.796 0.716 1
Si3 0.873 0.268 0.366 1
Si4 0.127 0.732 0.634 1
Si5 0.187 0.680 0.146 1
Si6 0.813 0.320 0.854 1
Si7 0.810 0.741 0.207 1
Si8 0.190 0.259 0.793 1
H1 0.049 0.346 0.206 1
H2 0.951 0.654 0.794 1
H3 0.197 0.091 0.475 1
H4 0.803 0.909 0.525 1
H5 0.401 0.063 0.413 1
H6 0.599 0.937 0.587 1
H7 0.278 0.198 0.475 1
H8 0.722 0.802 0.525 1
H9 0.275 0.120 0.112 1
H10 0.725 0.880 0.888 1
H11 0.411 0.021 0.185 1
H12 0.589 0.979 0.815 1
H13 0.211 0.032 0.240 1
H14 0.789 0.968 0.760 1
H15 0.399 0.313 0.120 1
H16 0.601 0.687 0.880 1
H17 0.407 0.337 0.252 1
H18 0.593 0.663 0.748 1
H19 0.527 0.201 0.192 1
H20 0.473 0.799 0.808 1
H21 0.973 0.126 0.521 1
H22 0.027 0.874 0.479 1
H23 0.850 0.267 0.570 1
H24 0.150 0.733 0.430 1
H25 0.766 0.167 0.555 1
H26 0.234 0.833 0.445 1
H27 0.681 0.436 0.281 1
H28 0.319 0.564 0.719 1
H29 0.584 0.361 0.404 1
H30 0.416 0.639 0.596 1
H31 0.664 0.463 0.420 1
H32 0.336 0.537 0.580 1
H33 0.881 0.187 0.196 1
H34 0.119 0.813 0.804 1
H35 0.979 0.072 0.285 1
H36 0.021 0.928 0.715 1
H37 0.771 0.129 0.325 1
H38 0.229 0.871 0.675 1
H39 0.974 0.726 0.324 1
H40 0.026 0.274 0.676 1
H41 0.338 0.658 0.280 1
H42 0.662 0.342 0.720 1
H43 0.379 0.519 0.236 1
H44 0.621 0.481 0.764 1
H45 0.465 0.621 0.142 1
H46 0.535 0.379 0.858 1
H47 0.143 0.631 0.980 1
H48 0.857 0.369 0.020 1
H49 0.345 0.604 0.956 1
H50 0.655 0.396 0.044 1
H51 0.255 0.502 0.049 1
H52 0.745 0.498 0.951 1
H53 0.151 0.890 0.162 1
H54 0.849 0.110 0.838 1
H55 0.294 0.839 0.033 1
H56 0.706 0.161 0.967 1
H57 0.092 0.884 0.045 1
H58 0.908 0.116 0.955 1
H59 0.631 0.660 0.376 1
H60 0.369 0.340 0.624 1
H61 0.607 0.806 0.393 1
H62 0.393 0.194 0.607 1
H63 0.523 0.782 0.299 1
H64 0.477 0.218 0.701 1
H65 0.832 0.557 0.139 1
H66 0.168 0.443 0.861 1
H67 0.710 0.685 0.077 1
H68 0.290 0.315 0.923 1
H69 0.917 0.647 0.024 1
H70 0.083 0.353 0.976 1
H71 0.679 0.934 0.110 1
H72 0.321 0.066 0.890 1
H73 0.777 0.956 0.195 1
H74 0.223 0.044 0.805 1
H75 0.885 0.899 0.061 1
H76 0.115 0.101 0.939 1
C1 0.050 0.319 0.296 1
C2 0.950 0.681 0.704 1
C3 0.285 0.133 0.426 1
C4 0.715 0.867 0.574 1
C5 0.290 0.083 0.197 1
C6 0.710 0.917 0.803 1
C7 0.411 0.271 0.205 1
C8 0.589 0.729 0.795 1
C9 0.865 0.201 0.517 1
C10 0.135 0.799 0.483 1
C11 0.684 0.394 0.367 1
C12 0.316 0.606 0.633 1
C13 0.878 0.153 0.285 1
C14 0.122 0.847 0.715 1
C15 0.995 0.674 0.255 1
C16 0.005 0.326 0.745 1
C17 0.357 0.613 0.207 1
C18 0.643 0.387 0.793 1
C19 0.236 0.597 0.021 1
C20 0.764 0.403 0.979 1
C21 0.179 0.838 0.092 1
C22 0.821 0.162 0.908 1
C23 0.627 0.748 0.331 1
C24 0.373 0.252 0.669 1
C25 0.818 0.649 0.102 1
C26 0.182 0.351 0.898 1
C27 0.786 0.897 0.137 1
C28 0.214 0.103 0.863 1
Cl1 0.798 0.538 0.537 1
Cl2 0.202 0.462 0.463 1
# Symmetry: P-1 (2)

***

# PBE-GGA H18IrC6S3Cl3O3, optimized geometry
data_H18IrC6S3Cl3O3
_chemical_formula_sum 'H36 Ir2 C12 S6 Cl6 O6'
_cell_length_a 9.526
_cell_length_b 10.604
_cell_length_c 10.886
_cell_angle_alpha 90.30
_cell_angle_beta 91.15
_cell_angle_gamma 114.22
_space_group_name_H-M_alt 'P 1'
_space_group_IT_number 1
loop_
_space_group_symop_operation_xyz
'x,y,z'
loop_
_atom_site_label
_atom_site_fract_x
_atom_site_fract_y
_atom_site_fract_z
_atom_site_occupancy
H1 0.809 0.170 0.920 1
H2 0.614 0.110 0.859 1
H3 0.682 0.990 0.929 1
H4 0.381 0.059 0.152 1
H5 0.399 0.930 0.054 1
H6 0.381 0.081 0.987 1
H7 0.652 0.363 0.259 1
H8 0.818 0.400 0.358 1
H9 0.638 0.387 0.424 1
H10 0.701 0.064 0.540 1
H11 0.615 0.180 0.583 1
H12 0.814 0.248 0.539 1
H13 0.088 0.939 0.203 1
H14 0.201 0.008 0.343 1
H15 0.104 0.101 0.263 1
H16 0.129 0.970 0.523 1
H17 0.962 0.818 0.562 1
H18 0.962 0.988 0.581 1
H19 0.626 0.515 0.008 1
H20 0.474 0.559 0.061 1
H21 0.591 0.654 0.936 1
H22 0.566 0.314 0.896 1
H23 0.605 0.419 0.759 1
H24 0.438 0.259 0.762 1
H25 0.258 0.281 0.419 1
H26 0.155 0.263 0.561 1
H27 0.324 0.227 0.557 1
H28 0.331 0.632 0.446 1
H29 0.319 0.484 0.356 1
H30 0.504 0.615 0.403 1
H31 0.036 0.577 0.084 1
H32 0.973 0.713 0.044 1
H33 0.170 0.757 0.093 1
H34 0.937 0.496 0.758 1
H35 0.862 0.616 0.812 1
H36 0.869 0.482 0.914 1
Ir1 0.732 0.067 0.234 1
Ir2 0.303 0.530 0.734 1
C1 0.689 0.095 0.930 1
C2 0.424 0.040 0.064 1
C3 0.692 0.350 0.352 1
C4 0.699 0.165 0.525 1
C5 0.100 0.999 0.288 1
C6 0.003 0.923 0.526 1
C7 0.540 0.554 0.981 1
C8 0.517 0.347 0.817 1
C9 0.267 0.290 0.520 1
C10 0.383 0.560 0.428 1
C11 0.069 0.681 0.044 1
C12 0.924 0.552 0.839 1
S1 0.629 0.135 0.075 1
S2 0.629 0.168 0.371 1
S3 0.923 0.912 0.371 1
S4 0.401 0.427 0.879 1
S5 0.391 0.465 0.564 1
S6 0.115 0.674 0.886 1
Cl1 0.966 0.270 0.221 1
Cl2 0.517 0.852 0.258 1
Cl3 0.828 0.939 0.103 1
Cl4 0.178 0.645 0.615 1
Cl5 0.532 0.738 0.734 1
Cl6 0.064 0.329 0.737 1
O1 0.658 0.283 0.071 1
O2 0.459 0.110 0.374 1
O3 0.846 0.016 0.386 1
O4 0.287 0.323 0.957 1
O5 0.550 0.472 0.571 1
O6 0.222 0.596 0.896 1
# Symmetry: P1 (1)

***

# PBE-GGA KPH12PtC2N2Cl2O4, optimized geometry
data_KPH12PtC2N2Cl2O4
_chemical_formula_sum 'K2 P2 H24 Pt2 C4 N4 Cl4 O8'
_cell_length_a 8.270
_cell_length_b 8.880
_cell_length_c 8.955
_cell_angle_alpha 86.01
_cell_angle_beta 69.65
_cell_angle_gamma 85.82
_space_group_name_H-M_alt 'P 1'
_space_group_IT_number 1
loop_
_space_group_symop_operation_xyz
'x,y,z'
loop_
_atom_site_label
_atom_site_fract_x
_atom_site_fract_y
_atom_site_fract_z
_atom_site_occupancy
K1 0.423 0.218 0.580 1
K2 0.577 0.782 0.420 1
P1 0.182 0.782 0.268 1
P2 0.818 0.218 0.732 1
H1 0.206 0.545 0.407 1
H2 0.794 0.455 0.593 1
H3 0.381 0.563 0.223 1
H4 0.619 0.437 0.777 1
H5 0.402 0.804 0.006 1
H6 0.598 0.196 0.994 1
H7 0.240 0.954 0.039 1
H8 0.760 0.046 0.961 1
H9 0.023 0.501 0.249 1
H10 0.977 0.499 0.751 1
H11 0.185 0.373 0.225 1
H12 0.815 0.627 0.775 1
H13 0.139 0.026 0.680 1
H14 0.861 0.974 0.320 1
H15 0.043 0.766 0.017 1
H16 0.957 0.234 0.983 1
H17 0.207 0.795 0.850 1
H18 0.793 0.205 0.150 1
H19 0.143 0.196 0.472 1
H20 0.857 0.804 0.528 1
H21 0.258 0.091 0.338 1
H22 0.742 0.909 0.662 1
H23 0.228 0.901 0.561 1
H24 0.772 0.099 0.439 1
Pt1 0.222 0.516 0.956 1
Pt2 0.778 0.484 0.044 1
C1 0.241 0.580 0.280 1
C2 0.759 0.420 0.720 1
C3 0.263 0.831 0.054 1
C4 0.737 0.169 0.946 1
N1 0.156 0.485 0.201 1
N2 0.844 0.515 0.799 1
N3 0.175 0.749 0.966 1
N4 0.825 0.251 0.034 1
Cl1 0.267 0.254 0.948 1
Cl2 0.733 0.746 0.052 1
Cl3 0.294 0.549 0.679 1
Cl4 0.706 0.451 0.321 1
O1 0.280 0.866 0.349 1
O2 0.720 0.134 0.651 1
O3 0.985 0.804 0.327 1
O4 0.015 0.196 0.673 1
O5 0.240 0.198 0.369 1
O6 0.760 0.802 0.631 1
O7 0.230 0.943 0.660 1
O8 0.770 0.057 0.340 1
# Symmetry: P-1 (2)

***

# PBE-GGA K3H8RhC4Cl2O12, optimized geometry
data_K3H8RhC4Cl2O12
_chemical_formula_sum 'K3 H8 Rh1 C4 Cl2 O12'
_cell_length_a 8.348
_cell_length_b 8.348
_cell_length_c 6.448
_cell_angle_alpha 71.67
_cell_angle_beta 71.67
_cell_angle_gamma 91.80
_space_group_name_H-M_alt 'P 1'
_space_group_IT_number 1
loop_
_space_group_symop_operation_xyz
'x,y,z'
loop_
_atom_site_label
_atom_site_fract_x
_atom_site_fract_y
_atom_site_fract_z
_atom_site_occupancy
K1 0.500 0.500 0.000 1
K2 0.769 0.231 0.500 1
K3 0.231 0.769 0.500 1
H1 0.873 0.546 0.978 1
H2 0.546 0.873 0.978 1
H3 0.377 0.870 0.923 1
H4 0.870 0.377 0.923 1
H5 0.623 0.130 0.077 1
H6 0.130 0.623 0.077 1
H7 0.454 0.127 0.022 1
H8 0.127 0.454 0.022 1
Rh1 0.000 0.000 0.000 1
C1 0.703 0.832 0.392 1
C2 0.832 0.703 0.392 1
C3 0.297 0.168 0.608 1
C4 0.168 0.297 0.608 1
Cl1 0.861 0.861 0.821 1
Cl2 0.139 0.139 0.179 1
O1 0.573 0.182 0.956 1
O2 0.182 0.573 0.956 1
O3 0.787 0.555 0.532 1
O4 0.555 0.787 0.532 1
O5 0.763 0.985 0.240 1
O6 0.985 0.763 0.240 1
O7 0.237 0.015 0.760 1
O8 0.015 0.237 0.760 1
O9 0.445 0.213 0.468 1
O10 0.213 0.445 0.468 1
O11 0.818 0.427 0.044 1
O12 0.427 0.818 0.044 1
# Symmetry: C2/m (12)

***

# PBE-GGA LaH23C4N6Cl4O10, optimized geometry
data_LaH23C4N6Cl4O10
_chemical_formula_sum 'La2 H46 C8 N12 Cl8 O20'
_cell_length_a 6.901
_cell_length_b 9.516
_cell_length_c 16.964
_cell_angle_alpha 90.00
_cell_angle_beta 90.00
_cell_angle_gamma 111.26
_space_group_name_H-M_alt 'P 1'
_space_group_IT_number 1
loop_
_space_group_symop_operation_xyz
'x,y,z'
loop_
_atom_site_label
_atom_site_fract_x
_atom_site_fract_y
_atom_site_fract_z
_atom_site_occupancy
La1 0.734 0.000 0.852 1
La2 0.266 0.000 0.352 1
H1 0.805 0.648 0.549 1
H2 0.195 0.352 0.049 1
H3 0.843 0.648 0.049 1
H4 0.157 0.352 0.549 1
H5 0.532 0.407 0.753 1
H6 0.468 0.593 0.253 1
H7 0.876 0.407 0.253 1
H8 0.124 0.593 0.753 1
H9 0.247 0.202 0.629 1
H10 0.753 0.798 0.129 1
H11 0.955 0.202 0.129 1
H12 0.045 0.798 0.629 1
H13 0.615 0.458 0.877 1
H14 0.385 0.542 0.377 1
H15 0.843 0.458 0.377 1
H16 0.157 0.542 0.877 1
H17 0.867 0.908 0.487 1
H18 0.133 0.092 0.987 1
H19 0.042 0.908 0.987 1
H20 0.959 0.092 0.487 1
H21 0.848 0.803 0.676 1
H22 0.152 0.197 0.176 1
H23 0.955 0.803 0.176 1
H24 0.045 0.197 0.676 1
H25 0.725 0.470 0.004 1
H26 0.275 0.530 0.504 1
H27 0.745 0.470 0.504 1
H28 0.255 0.530 0.004 1
H29 0.528 0.551 0.689 1
H30 0.472 0.449 0.189 1
H31 0.023 0.551 0.189 1
H32 0.977 0.449 0.689 1
H33 0.216 0.087 0.819 1
H34 0.784 0.913 0.319 1
H35 0.871 0.087 0.319 1
H36 0.129 0.913 0.819 1
H37 0.449 0.089 0.527 1
H38 0.551 0.911 0.027 1
H39 0.640 0.089 0.027 1
H40 0.360 0.911 0.527 1
H41 0.505 0.910 0.687 1
H42 0.495 0.090 0.187 1
H43 0.405 0.910 0.187 1
H44 0.595 0.090 0.687 1
H45 0.910 0.000 0.569 1
H46 0.090 0.000 0.069 1
C1 0.648 0.627 0.796 1
C2 0.352 0.373 0.296 1
C3 0.978 0.627 0.296 1
C4 0.022 0.373 0.796 1
C5 0.771 0.661 0.935 1
C6 0.229 0.339 0.435 1
C7 0.890 0.661 0.435 1
C8 0.110 0.339 0.935 1
N1 0.668 0.575 0.871 1
N2 0.332 0.425 0.371 1
N3 0.907 0.575 0.371 1
N4 0.093 0.425 0.871 1
N5 0.791 0.585 0.998 1
N6 0.209 0.415 0.498 1
N7 0.795 0.585 0.498 1
N8 0.205 0.415 0.998 1
N9 0.553 0.518 0.744 1
N10 0.447 0.482 0.244 1
N11 0.965 0.518 0.244 1
N12 0.035 0.482 0.744 1
Cl1 0.524 0.224 0.867 1
Cl2 0.476 0.776 0.367 1
Cl3 0.701 0.224 0.367 1
Cl4 0.300 0.776 0.867 1
Cl5 0.590 0.267 0.612 1
Cl6 0.410 0.733 0.112 1
Cl7 0.677 0.267 0.112 1
Cl8 0.323 0.733 0.612 1
O1 0.854 0.000 0.514 1
O2 0.146 0.000 0.014 1
O3 0.595 0.000 0.717 1
O4 0.405 0.000 0.217 1
O5 0.101 0.194 0.623 1
O6 0.899 0.806 0.123 1
O7 0.094 0.194 0.123 1
O8 0.906 0.806 0.623 1
O9 0.638 0.000 0.996 1
O10 0.362 0.000 0.496 1
O11 0.911 0.000 0.307 1
O12 0.089 0.000 0.807 1
O13 0.712 0.764 0.778 1
O14 0.288 0.236 0.278 1
O15 0.052 0.764 0.278 1
O16 0.948 0.236 0.778 1
O17 0.842 0.804 0.933 1
O18 0.158 0.196 0.433 1
O19 0.962 0.804 0.433 1
O20 0.038 0.196 0.933 1
# Symmetry: Cmc2_1 (36)

***

Number 1: calculated formation energy -0.22 eV/atom, final energy -593.51 eV per cell. Number 2: calculated formation energy -0.38 eV/atom, final energy -337.67 eV per cell. Number 3: calculated formation energy -0.87 eV/atom, final energy -261.91 eV per cell. Number 4: calculated formation energy -1.49 eV/atom, final energy -174.41 eV per cell. Number 5: calculated formation energy -1.05 eV/atom, final energy -540.33 eV per cell.